DFT (PBE-GGA) results for crystalline Na2Y6Ta2Si3S9O48 at its relaxed geometry.

Calculated values
- Theoretical density: 3.014 g/cm³
- E: -7.343 eV per atom
- E_form: -2.73 eV/atom

a b c (Å): 9.126 15.738 23.962
angles (deg): 89.92 89.93 89.92
Space group P1 (No. 1)
Inequivalent atoms, fractional coordinates:
Na1 0.000 0.000 0.000 [1 per cell]
Na2 0.008 0.653 0.336 [1 per cell]
Na3 0.520 0.154 0.846 [1 per cell]
Na4 0.529 0.496 0.497 [1 per cell]
Na5 0.542 0.159 0.331 [1 per cell]
Na6 0.990 0.658 0.838 [1 per cell]
Y1 0.000 0.993 0.861 [1 per cell]
Y2 0.003 0.338 0.311 [1 per cell]
Y3 0.008 0.998 0.149 [1 per cell]
Y4 0.009 0.653 0.690 [1 per cell]
Y5 0.011 0.330 0.809 [1 per cell]
Y6 0.014 0.665 0.482 [1 per cell]
Y7 0.020 0.658 0.984 [1 per cell]
Y8 0.026 0.673 0.182 [1 per cell]
Y9 0.027 0.336 0.024 [1 per cell]
Y10 0.503 0.174 0.683 [1 per cell]
Y11 0.511 0.159 0.483 [1 per cell]
Y12 0.514 0.157 0.185 [1 per cell]
Y13 0.514 0.171 0.985 [1 per cell]
Y14 0.514 0.838 0.520 [1 per cell]
Y15 0.521 0.830 0.307 [1 per cell]
Y16 0.522 0.496 0.650 [1 per cell]
Y17 0.528 0.837 0.814 [1 per cell]
Y18 0.529 0.494 0.358 [1 per cell]
Ta1 0.004 0.006 0.355 [1 per cell]
Ta2 0.008 0.323 0.515 [1 per cell]
Ta3 0.020 0.004 0.647 [1 per cell]
Ta4 0.508 0.501 0.144 [1 per cell]
Ta5 0.523 0.825 0.016 [1 per cell]
Ta6 0.526 0.506 0.857 [1 per cell]
Si1 0.216 0.169 0.583 [1 per cell]
Si2 0.315 0.669 0.083 [1 per cell]
Si3 0.372 0.312 0.088 [1 per cell]
Si4 0.656 0.980 0.920 [1 per cell]
Si5 0.668 0.687 0.914 [1 per cell]
Si6 0.724 0.005 0.253 [1 per cell]
Si7 0.803 0.503 0.754 [1 per cell]
Si8 0.865 0.186 0.414 [1 per cell]
Si9 0.870 0.478 0.420 [1 per cell]
S1 0.150 0.855 0.256 [1 per cell]
S2 0.157 0.818 0.588 [1 per cell]
S3 0.161 0.185 0.916 [1 per cell]
S4 0.161 0.511 0.580 [1 per cell]
S5 0.163 0.139 0.255 [1 per cell]
S6 0.172 0.478 0.912 [1 per cell]
S7 0.232 0.831 0.920 [1 per cell]
S8 0.236 0.501 0.249 [1 per cell]
S9 0.295 0.000 0.748 [1 per cell]
S10 0.298 0.332 0.420 [1 per cell]
S11 0.359 0.977 0.413 [1 per cell]
S12 0.368 0.640 0.755 [1 per cell]
S13 0.369 0.009 0.080 [1 per cell]
S14 0.370 0.686 0.418 [1 per cell]
S15 0.380 0.355 0.756 [1 per cell]
S16 0.653 0.357 0.247 [1 per cell]
S17 0.663 0.638 0.249 [1 per cell]
S18 0.671 0.314 0.580 [1 per cell]
S19 0.674 0.018 0.588 [1 per cell]
S20 0.715 0.337 0.913 [1 per cell]
S21 0.717 0.666 0.583 [1 per cell]
S22 0.813 0.163 0.082 [1 per cell]
S23 0.815 0.837 0.414 [1 per cell]
S24 0.857 0.520 0.088 [1 per cell]
S25 0.860 0.814 0.080 [1 per cell]
S26 0.870 0.137 0.748 [1 per cell]
S27 0.878 0.857 0.746 [1 per cell]
O1 0.073 0.771 0.255 [1 per cell]
O2 0.082 0.787 0.538 [1 per cell]
O3 0.091 0.903 0.305 [1 per cell]
O4 0.092 0.428 0.570 [1 per cell]
O5 0.092 0.906 0.601 [1 per cell]
O6 0.096 0.098 0.913 [1 per cell]
O7 0.096 0.222 0.263 [1 per cell]
O8 0.097 0.549 0.632 [1 per cell]
O9 0.099 0.226 0.967 [1 per cell]
O10 0.103 0.435 0.864 [1 per cell]
O11 0.104 0.086 0.602 [1 per cell]
O12 0.108 0.099 0.204 [1 per cell]
O13 0.108 0.249 0.567 [1 per cell]
O14 0.111 0.565 0.916 [1 per cell]
O15 0.123 0.083 0.306 [1 per cell]
O16 0.125 0.233 0.865 [1 per cell]
O17 0.126 0.901 0.204 [1 per cell]
O18 0.133 0.758 0.926 [1 per cell]
O19 0.134 0.761 0.636 [1 per cell]
O20 0.136 0.571 0.533 [1 per cell]
O21 0.138 0.576 0.243 [1 per cell]
O22 0.144 0.911 0.919 [1 per cell]
O23 0.151 0.431 0.964 [1 per cell]
O24 0.153 0.422 0.250 [1 per cell]
O25 0.193 0.995 0.697 [1 per cell]
O26 0.198 0.983 0.404 [1 per cell]
O27 0.199 0.338 0.470 [1 per cell]
O28 0.200 0.332 0.076 [1 per cell]
O29 0.205 0.011 0.798 [1 per cell]
O30 0.206 0.645 0.753 [1 per cell]
O31 0.208 0.680 0.423 [1 per cell]
O32 0.209 0.998 0.087 [1 per cell]
O33 0.214 0.323 0.368 [1 per cell]
O34 0.216 0.643 0.031 [1 per cell]
O35 0.216 0.690 0.138 [1 per cell]
O36 0.222 0.341 0.762 [1 per cell]
O37 0.308 0.842 0.263 [1 per cell]
O38 0.312 0.188 0.638 [1 per cell]
O39 0.315 0.140 0.531 [1 per cell]
O40 0.315 0.823 0.868 [1 per cell]
O41 0.315 0.832 0.578 [1 per cell]
O42 0.322 0.501 0.586 [1 per cell]
O43 0.323 0.178 0.920 [1 per cell]
O44 0.324 0.143 0.256 [1 per cell]
O45 0.325 0.512 0.300 [1 per cell]
O46 0.330 0.838 0.970 [1 per cell]
O47 0.334 0.486 0.901 [1 per cell]
O48 0.336 0.498 0.199 [1 per cell]
O49 0.377 0.920 0.748 [1 per cell]
O50 0.383 0.928 0.466 [1 per cell]
O51 0.385 0.412 0.420 [1 per cell]
O52 0.391 0.075 0.740 [1 per cell]
O53 0.394 0.067 0.032 [1 per cell]
O54 0.396 0.258 0.427 [1 per cell]
O55 0.402 0.252 0.141 [1 per cell]
O56 0.404 0.584 0.805 [1 per cell]
O57 0.405 0.400 0.703 [1 per cell]
O58 0.405 0.734 0.367 [1 per cell]
O59 0.422 0.063 0.418 [1 per cell]
O60 0.422 0.750 0.066 [1 per cell]
O61 0.424 0.600 0.703 [1 per cell]
O62 0.426 0.589 0.103 [1 per cell]
O63 0.430 0.933 0.366 [1 per cell]
O64 0.431 0.728 0.469 [1 per cell]
O65 0.434 0.599 0.416 [1 per cell]
O66 0.434 0.723 0.761 [1 per cell]
O67 0.435 0.044 0.132 [1 per cell]
O68 0.437 0.924 0.069 [1 per cell]
O69 0.439 0.403 0.804 [1 per cell]
O70 0.443 0.410 0.104 [1 per cell]
O71 0.452 0.279 0.032 [1 per cell]
O72 0.457 0.271 0.754 [1 per cell]
O73 0.579 0.593 0.905 [1 per cell]
O74 0.588 0.272 0.242 [1 per cell]
O75 0.588 0.720 0.252 [1 per cell]
O76 0.590 0.075 0.924 [1 per cell]
O77 0.594 0.394 0.299 [1 per cell]
O78 0.594 0.736 0.971 [1 per cell]
O79 0.600 0.939 0.861 [1 per cell]
O80 0.603 0.059 0.636 [1 per cell]
O81 0.603 0.270 0.532 [1 per cell]
O82 0.604 0.916 0.973 [1 per cell]
O83 0.605 0.592 0.200 [1 per cell]
O84 0.607 0.400 0.584 [1 per cell]
O85 0.612 0.413 0.199 [1 per cell]
O86 0.613 0.933 0.579 [1 per cell]
O87 0.616 0.263 0.917 [1 per cell]
O88 0.617 0.414 0.903 [1 per cell]
O89 0.620 0.591 0.587 [1 per cell]
O90 0.626 0.743 0.576 [1 per cell]
O91 0.628 0.091 0.255 [1 per cell]
O92 0.631 0.741 0.860 [1 per cell]
O93 0.631 0.921 0.265 [1 per cell]
O94 0.637 0.588 0.301 [1 per cell]
O95 0.649 0.265 0.632 [1 per cell]
O96 0.665 0.071 0.538 [1 per cell]
O97 0.683 0.511 0.808 [1 per cell]
O98 0.691 0.481 0.422 [1 per cell]
O99 0.694 0.167 0.425 [1 per cell]
O100 0.696 0.510 0.101 [1 per cell]
O101 0.698 0.823 0.071 [1 per cell]
O102 0.708 0.495 0.698 [1 per cell]
O103 0.711 0.148 0.740 [1 per cell]
O104 0.719 0.853 0.747 [1 per cell]
O105 0.720 0.821 0.366 [1 per cell]
O106 0.721 0.148 0.033 [1 per cell]
O107 0.725 0.170 0.133 [1 per cell]
O108 0.727 0.853 0.465 [1 per cell]
O109 0.798 0.353 0.964 [1 per cell]
O110 0.809 0.675 0.634 [1 per cell]
O111 0.811 0.324 0.865 [1 per cell]
O112 0.812 0.654 0.533 [1 per cell]
O113 0.814 0.353 0.248 [1 per cell]
O114 0.824 0.650 0.244 [1 per cell]
O115 0.824 0.995 0.198 [1 per cell]
O116 0.833 0.322 0.570 [1 per cell]
O117 0.835 0.005 0.601 [1 per cell]
O118 0.837 0.981 0.922 [1 per cell]
O119 0.839 0.667 0.924 [1 per cell]
O120 0.844 0.011 0.309 [1 per cell]
O121 0.869 0.573 0.038 [1 per cell]
O122 0.881 0.765 0.132 [1 per cell]
O123 0.897 0.086 0.799 [1 per cell]
O124 0.900 0.590 0.755 [1 per cell]
O125 0.901 0.241 0.075 [1 per cell]
O126 0.901 0.420 0.764 [1 per cell]
O127 0.902 0.243 0.361 [1 per cell]
O128 0.909 0.914 0.405 [1 per cell]
O129 0.915 0.434 0.079 [1 per cell]
O130 0.915 0.764 0.421 [1 per cell]
O131 0.916 0.089 0.086 [1 per cell]
O132 0.920 0.912 0.697 [1 per cell]
O133 0.923 0.415 0.473 [1 per cell]
O134 0.924 0.900 0.085 [1 per cell]
O135 0.927 0.771 0.032 [1 per cell]
O136 0.929 0.561 0.136 [1 per cell]
O137 0.930 0.089 0.698 [1 per cell]
O138 0.931 0.439 0.362 [1 per cell]
O139 0.938 0.574 0.426 [1 per cell]
O140 0.939 0.234 0.471 [1 per cell]
O141 0.939 0.894 0.798 [1 per cell]
O142 0.947 0.218 0.750 [1 per cell]
O143 0.947 0.773 0.739 [1 per cell]
O144 0.953 0.092 0.404 [1 per cell]